Entry 1:
Crystalline CoC2N3 at its relaxed geometry, computed with PBE.

Lattice parameters (Å, degrees): 3.0858 3.0858 21.9540 90.00 90.00 120.00
Sites, in units of the cell vectors:
Co 0.0000 0.3482 0.1667
Co 0.3482 0.0000 0.8333
Co 0.6518 0.6518 0.5000
C 0.0094 0.3309 0.7231
C 0.3216 0.9906 0.3897
C 0.3309 0.0094 0.2769
C 0.6691 0.6784 0.0564
C 0.6784 0.6691 0.9436
C 0.9906 0.3216 0.6103
N 0.0000 0.3140 0.6667
N 0.0157 0.3339 0.7787
N 0.3140 0.0000 0.3333
N 0.3182 0.9843 0.4453
N 0.3339 0.0157 0.2213
N 0.6661 0.6818 0.1120
N 0.6818 0.6661 0.8880
N 0.6860 0.6860 0.0000
N 0.9843 0.3182 0.5547

Its electronic total energy is -7.880 eV per atom. As for the formation energy: 0.369 eV/atom. The magnetic moment comes out at 0.3333 μB per atom. For the energy above the lowest structure with this stoichiometry, the calculation gives 0.049 eV per atom.



Entry 2:
Crystalline La2SbI2 at its relaxed geometry, computed with PBE.

Lattice parameters (Å, degrees): 4.5989 4.5989 11.1951 90.00 90.00 120.00
Sites, in units of the cell vectors:
La 0.3333 0.6667 0.1602
La 0.6667 0.3333 0.8398
Sb 0.0000 0.0000 0.0000
I 0.3333 0.6667 0.6609
I 0.6667 0.3333 0.3391

Its electronic total energy is -4.845 eV per atom. As for the formation energy: -1.587 eV/atom.



Entry 3:
Crystalline CsInP2O7 at its relaxed geometry, computed with PBE.

Lattice parameters (Å, degrees): 7.8615 10.5246 8.7417 90.00 104.58 90.00
Sites, in units of the cell vectors:
Cs 0.1956 0.1999 0.0420
Cs 0.1956 0.3001 0.5420
Cs 0.8044 0.6999 0.4580
Cs 0.8044 0.8001 0.9580
In 0.2384 0.6016 0.2576
In 0.2384 0.8984 0.7576
In 0.7616 0.1016 0.2424
In 0.7616 0.3984 0.7424
P 0.1341 0.5918 0.8300
P 0.1341 0.9082 0.3300
P 0.4273 0.6291 0.6827
P 0.4273 0.8709 0.1827
P 0.5727 0.1291 0.8173
P 0.5727 0.3709 0.3173
P 0.8659 0.0918 0.6700
P 0.8659 0.4082 0.1700
O 0.0029 0.0036 0.2311
O 0.0029 0.4964 0.7311
O 0.0864 0.7272 0.7670
O 0.0864 0.7728 0.2670
O 0.1540 0.5789 0.0060
O 0.1540 0.9211 0.5060
O 0.3202 0.6021 0.5150
O 0.3202 0.8979 0.0150
O 0.3247 0.5560 0.7988
O 0.3247 0.9440 0.2988
O 0.3868 0.0730 0.7751
O 0.3868 0.4270 0.2751
O 0.4424 0.7295 0.2282
O 0.4424 0.7705 0.7282
O 0.5576 0.2295 0.2718
O 0.5576 0.2705 0.7718
O 0.6132 0.5730 0.7249
O 0.6132 0.9270 0.2249
O 0.6753 0.0560 0.7012
O 0.6753 0.4440 0.2012
O 0.6798 0.1021 0.9850
O 0.6798 0.3979 0.4850
O 0.8460 0.0789 0.4940
O 0.8460 0.4211 0.9940
O 0.9136 0.2272 0.7330
O 0.9136 0.2728 0.2330
O 0.9971 0.5036 0.2689
O 0.9971 0.9964 0.7689

Its electronic total energy is -6.636 eV per atom. As for the formation energy: -2.608 eV/atom. The magnetic moment comes out at 0.0000 μB per atom.



Entry 4:
Crystalline Ba2ErGaTe5 at its relaxed geometry, computed with PBE.

Lattice parameters (Å, degrees): 10.4806 10.4806 14.3652 90.00 90.00 155.07
Sites, in units of the cell vectors:
Ba 0.1210 0.8790 0.5000
Ba 0.1279 0.8721 0.8627
Ba 0.8721 0.1279 0.3627
Ba 0.8790 0.1210 0.0000
Er 0.2053 0.7947 0.1625
Er 0.7947 0.2053 0.6625
Ga 0.4405 0.5595 0.7579
Ga 0.5595 0.4405 0.2579
Te 0.0463 0.9537 0.1491
Te 0.2958 0.7042 0.5197
Te 0.3125 0.6875 0.8149
Te 0.3516 0.6484 0.1799
Te 0.4982 0.5018 0.4188
Te 0.5018 0.4982 0.9188
Te 0.6484 0.3516 0.6799
Te 0.6875 0.3125 0.3149
Te 0.7042 0.2958 0.0197
Te 0.9537 0.0463 0.6491

Its electronic total energy is -4.296 eV per atom. As for the formation energy: -1.514 eV/atom. The magnetic moment comes out at 0.0002 μB per atom.



Entry 5:
Crystalline MgAg20Bi4O16 at its relaxed geometry, computed with PBE.

Lattice parameters (Å, degrees): 6.1057 9.0073 13.4410 84.92 85.53 86.56
Sites, in units of the cell vectors:
Mg 0.0000 0.0000 0.0000
Ag 0.0145 0.2159 0.3475
Ag 0.2293 0.4496 0.7080
Ag 0.2325 0.4703 0.4617
Ag 0.2347 0.0936 0.6108
Ag 0.2369 0.4665 0.2194
Ag 0.2534 0.4415 0.9686
Ag 0.2568 0.8295 0.3371
Ag 0.4525 0.2001 0.8290
Ag 0.4546 0.6909 0.0867
Ag 0.4581 0.7258 0.5839
Ag 0.5078 0.2192 0.3488
Ag 0.6160 0.9325 0.9470
Ag 0.6504 0.5701 0.7910
Ag 0.6678 0.9502 0.7027
Ag 0.7396 0.9708 0.4657
Ag 0.8305 0.3415 0.1364
Ag 0.8338 0.9873 0.2309
Ag 0.9397 0.6808 0.0859
Ag 0.9475 0.2068 0.8133
Ag 0.9681 0.7216 0.5854
Bi 0.1680 0.8032 0.8265
Bi 0.3717 0.1009 0.1272
Bi 0.7327 0.3359 0.5803
Bi 0.7327 0.6061 0.3473
O 0.0104 0.1232 0.1124
O 0.0934 0.6099 0.3374
O 0.1262 0.5601 0.8400
O 0.1881 0.0638 0.8801
O 0.1899 0.8493 0.6535
O 0.1910 0.8090 0.0093
O 0.2860 0.0811 0.2903
O 0.3725 0.3238 0.5815
O 0.3947 0.3347 0.1008
O 0.5232 0.7910 0.8161
O 0.6587 0.8527 0.3435
O 0.6931 0.3446 0.7521
O 0.6960 0.5626 0.1762
O 0.7323 0.6038 0.5189
O 0.7426 0.3465 0.4047
O 0.8197 0.0940 0.5845

Its electronic total energy is -4.130 eV per atom. As for the formation energy: -0.667 eV/atom. The magnetic moment comes out at 0.0014 μB per atom. For the energy above the lowest structure with this stoichiometry, the calculation gives 0.030 eV per atom.



Entry 6:
Crystalline NdCl2 at its relaxed geometry, computed with PBE.

Lattice parameters (Å, degrees): 7.1613 7.1613 3.5944 90.00 90.00 90.00
Sites, in units of the cell vectors:
Nd 0.0000 0.0000 0.0000
Nd 0.5000 0.5000 0.5000
Cl 0.2198 0.2198 0.5000
Cl 0.2802 0.7198 0.0000
Cl 0.7198 0.2802 0.0000
Cl 0.7802 0.7802 0.5000

Its electronic total energy is -4.767 eV per atom. As for the formation energy: -2.355 eV/atom. The magnetic moment comes out at 0.1040 μB per atom.



Entry 7:
Crystalline U13O34 at its relaxed geometry, computed with PBE.

Lattice parameters (Å, degrees): 4.1644 25.6234 25.6234 164.48 90.00 90.00
Sites, in units of the cell vectors:
U 0.0000 0.0000 0.0000
U 0.0000 0.0101 0.8592
U 0.0000 0.1060 0.8029
U 0.0000 0.1891 0.7199
U 0.0000 0.2609 0.6456
U 0.0000 0.3416 0.5801
U 0.0000 0.4252 0.5036
U 0.0000 0.5036 0.4252
U 0.0000 0.5801 0.3416
U 0.0000 0.6456 0.2609
U 0.0000 0.7199 0.1891
U 0.0000 0.8029 0.1060
U 0.0000 0.8592 0.0101
O 0.0000 0.0417 0.4936
O 0.0000 0.0748 0.2804
O 0.0000 0.1044 0.1913
O 0.0000 0.1184 0.4304
O 0.0000 0.1520 0.7676
O 0.0000 0.1913 0.1044
O 0.0000 0.2804 0.0748
O 0.0000 0.3586 0.3586
O 0.0000 0.4141 0.8673
O 0.0000 0.4304 0.1184
O 0.0000 0.4842 0.8025
O 0.0000 0.4878 0.6428
O 0.0000 0.4936 0.0417
O 0.0000 0.6428 0.4878
O 0.0000 0.6874 0.9161
O 0.0000 0.7444 0.8063
O 0.0000 0.7676 0.1520
O 0.0000 0.8025 0.4842
O 0.0000 0.8063 0.7444
O 0.0000 0.8673 0.4141
O 0.0000 0.9161 0.6874
O 0.5000 0.0151 0.0151
O 0.5000 0.1132 0.8124
O 0.5000 0.1891 0.7184
O 0.5000 0.2638 0.6489
O 0.5000 0.3438 0.5847
O 0.5000 0.4282 0.5054
O 0.5000 0.5054 0.4282
O 0.5000 0.5847 0.3438
O 0.5000 0.6489 0.2638
O 0.5000 0.7184 0.1891
O 0.5000 0.8124 0.1132
O 0.5000 0.8504 0.9994
O 0.5000 0.9994 0.8504

Its electronic total energy is -9.899 eV per atom. As for the formation energy: -3.693 eV/atom. The magnetic moment comes out at 0.0194 μB per atom.



Entry 8:
Crystalline ZnH8C4N2O6 at its relaxed geometry, computed with PBE.

Lattice parameters (Å, degrees): 8.7570 10.8189 10.9502 90.00 90.00 90.00
Sites, in units of the cell vectors:
Zn 0.2080 0.2500 0.2500
Zn 0.2920 0.7500 0.2500
Zn 0.7080 0.2500 0.7500
Zn 0.7920 0.7500 0.7500
H 0.0491 0.1224 0.6106
H 0.0491 0.3776 0.8894
H 0.0889 0.6876 0.5371
H 0.0889 0.8124 0.9629
H 0.1479 0.5022 0.2210
H 0.1479 0.9978 0.2790
H 0.2500 0.0000 0.4417
H 0.2500 0.0000 0.5096
H 0.2500 0.5000 0.0583
H 0.2500 0.5000 0.9904
H 0.3521 0.0022 0.2790
H 0.3521 0.4978 0.2210
H 0.4111 0.1876 0.9629
H 0.4111 0.3124 0.5371
H 0.4509 0.6224 0.8894
H 0.4509 0.8776 0.6106
H 0.5491 0.1224 0.3894
H 0.5491 0.3776 0.1106
H 0.5889 0.6876 0.4629
H 0.5889 0.8124 0.0371
H 0.6479 0.5022 0.7790
H 0.6479 0.9978 0.7210
H 0.7500 0.0000 0.4904
H 0.7500 0.0000 0.5583
H 0.7500 0.5000 0.0096
H 0.7500 0.5000 0.9417
H 0.8521 0.0022 0.7210
H 0.8521 0.4978 0.7790
H 0.9111 0.1876 0.0371
H 0.9111 0.3124 0.4629
H 0.9509 0.6224 0.1106
H 0.9509 0.8776 0.3894
C 0.0175 0.7297 0.9770
C 0.0175 0.7703 0.5230
C 0.2500 0.0000 0.2174
C 0.2500 0.0000 0.8250
C 0.2500 0.5000 0.2826
C 0.2500 0.5000 0.6750
C 0.4825 0.2297 0.5230
C 0.4825 0.2703 0.9770
C 0.5175 0.7297 0.0230
C 0.5175 0.7703 0.4770
C 0.7500 0.0000 0.1750
C 0.7500 0.0000 0.7826
C 0.7500 0.5000 0.3250
C 0.7500 0.5000 0.7174
C 0.9825 0.2297 0.4770
C 0.9825 0.2703 0.0230
N 0.1860 0.0354 0.7147
N 0.1860 0.4646 0.7853
N 0.3140 0.5354 0.7853
N 0.3140 0.9646 0.7147
N 0.6860 0.0354 0.2853
N 0.6860 0.4646 0.2147
N 0.8140 0.5354 0.2147
N 0.8140 0.9646 0.2853
O 0.0227 0.6919 0.0921
O 0.0227 0.8081 0.4079
O 0.0564 0.1777 0.3956
O 0.0564 0.3223 0.1044
O 0.2455 0.1086 0.1509
O 0.2455 0.3914 0.3491
O 0.2545 0.6086 0.3491
O 0.2545 0.8914 0.1509
O 0.4436 0.6777 0.1044
O 0.4436 0.8223 0.3956
O 0.4773 0.1919 0.4079
O 0.4773 0.3081 0.0921
O 0.5227 0.6919 0.9079
O 0.5227 0.8081 0.5921
O 0.5564 0.1777 0.6044
O 0.5564 0.3223 0.8956
O 0.7455 0.1086 0.8491
O 0.7455 0.3914 0.6509
O 0.7545 0.6086 0.6509
O 0.7545 0.8914 0.8491
O 0.9436 0.6777 0.8956
O 0.9436 0.8223 0.6044
O 0.9773 0.1919 0.5921
O 0.9773 0.3081 0.9079

Its electronic total energy is -5.597 eV per atom. As for the formation energy: -0.475 eV/atom. The magnetic moment comes out at 0.0000 μB per atom. For the energy above the lowest structure with this stoichiometry, the calculation gives 0.280 eV per atom.



Q: The highest electronic total energy belongs to which entry?
A: MgAg20Bi4O16